Computed, not measured: a geometry-optimized MnTlH2OF4 structure at the PBE+U level of DFT.

a = 7.6970 Å, b = 7.6970 Å, c = 10.7545 Å
α = 77.99°, β = 77.99°, γ = 51.83°
With the nearest neighbours (Å) after each atom.
Positions (direct):
Mn 0.2429 0.7571 0.2500  4 F 1.88
Tl 0.1797 0.6554 0.9370  5 F 2.73-3.04
F 0.3669 0.4862 0.1887  1 H 1.83, 1 Mn 1.88
H 0.4163 0.1746 0.7473  1 O 0.99
F 0.9740 0.8841 0.1849  1 H 1.74, 1 Mn 1.88
F 0.0260 0.1159 0.8151  1 H 1.74, 1 Mn 1.88
F 0.7278 0.7732 0.4667  1 Mn 1.87
F 0.2268 0.2722 0.0333  1 Mn 1.87
F 0.6371 0.1481 0.9373  1 Mn 1.93
F 0.7732 0.7278 0.9667  1 Mn 1.87
F 0.8519 0.3629 0.5627  1 Mn 1.93
H 0.0878 0.2727 0.2957  1 O 0.99
Tl 0.3446 0.8203 0.5630  5 F 2.73-3.04
H 0.8254 0.5837 0.7527  1 O 0.99
H 0.1746 0.4163 0.2473  1 O 0.99
H 0.9122 0.7273 0.7043  1 O 0.99
F 0.8841 0.9740 0.6849  1 H 1.74, 1 Mn 1.88
F 0.1159 0.0260 0.3151  1 H 1.74, 1 Mn 1.88
Mn 0.7571 0.2429 0.7500  4 F 1.88
O 0.9501 0.5792 0.7017  2 H 0.99
O 0.4208 0.0499 0.7983  2 H 0.99
H 0.5837 0.8254 0.2527  1 O 0.99
O 0.0499 0.4208 0.2983  2 H 0.99
Mn 0.5000 0.0000 0.0000  4 F 1.87-1.93
F 0.5138 0.6331 0.3113  1 H 1.83, 1 Mn 1.88
Mn 0.0000 0.5000 0.5000  4 F 1.87-1.93
Tl 0.8203 0.3446 0.0630  5 F 2.73-3.04
F 0.1481 0.6371 0.4373  1 Mn 1.93
H 0.7273 0.9122 0.2043  1 O 0.99
F 0.2722 0.2268 0.5333  1 Mn 1.87
F 0.3629 0.8519 0.0627  1 Mn 1.93
H 0.2727 0.0878 0.7957  1 O 0.99
Tl 0.6554 0.1797 0.4370  5 F 2.73-3.04
F 0.4862 0.3669 0.6887  1 H 1.83, 1 Mn 1.88
F 0.6331 0.5138 0.8113  1 H 1.83, 1 Mn 1.88
O 0.5792 0.9501 0.2017  2 H 0.99

E_form ... -2.143 eV/atom